{
  "formula": "Na8Mg2Ta2Si5SO24",
  "functional": "GGA-PBE",
  "state": "optimized geometry",
  "cell": [[9.1340, 0.0000, 0.0000], [4.5623, 7.9405, 0.0000], [0.0271, -0.0123, 22.2529]],
  "species": ["Na", "Na", "Na", "Na", "Na", "Na", "Na", "Na", "Na", "Na", "Na", "Na", "Na", "Na", "Na", "Na", "Na", "Na", "Na", "Na", "Na", "Na", "Na", "Na", "Mg", "Mg", "Mg", "Mg", "Mg", "Mg", "Ta", "Ta", "Ta", "Ta", "Ta", "Ta", "Si", "Si", "Si", "Si", "Si", "Si", "Si", "Si", "Si", "Si", "Si", "Si", "Si", "Si", "Si", "S", "S", "S", "O", "O", "O", "O", "O", "O", "O", "O", "O", "O", "O", "O", "O", "O", "O", "O", "O", "O", "O", "O", "O", "O", "O", "O", "O", "O", "O", "O", "O", "O", "O", "O", "O", "O", "O", "O", "O", "O", "O", "O", "O", "O", "O", "O", "O", "O", "O", "O", "O", "O", "O", "O", "O", "O", "O", "O", "O", "O", "O", "O", "O", "O", "O", "O", "O", "O", "O", "O", "O", "O", "O", "O"],
  "frac_coords": [[0.0000, 0.0000, 0.0000], [0.0052, 0.9162, 0.6654], [0.0230, 0.2824, 0.1833], [0.2786, 0.3185, 0.6720], [0.2876, 0.6728, 0.1767], [0.3147, 0.9670, 0.0915], [0.3169, 0.9515, 0.5805], [0.3239, 0.5875, 0.8266], [0.3246, 0.3091, 0.3254], [0.3365, 0.6540, 0.5055], [0.3529, 0.2432, 0.0006], [0.5997, 0.6474, 0.0069], [0.6160, 0.9812, 0.4964], [0.6350, 0.9377, 0.1828], [0.6483, 0.2861, 0.9170], [0.6615, 0.2870, 0.4120], [0.6650, 0.6603, 0.6645], [0.6714, 0.5962, 0.3231], [0.6743, 0.9916, 0.8323], [0.9310, 0.9964, 0.3304], [0.9477, 0.3161, 0.8329], [0.9770, 0.6276, 0.2523], [0.9842, 0.6332, 0.7440], [0.9877, 0.2537, 0.4914], [0.3071, 0.9757, 0.9439], [0.3116, 0.9661, 0.4355], [0.3177, 0.9783, 0.2329], [0.6486, 0.2916, 0.7708], [0.6553, 0.2901, 0.2692], [0.9734, 0.6422, 0.6079], [0.2995, 0.9756, 0.7315], [0.6508, 0.2966, 0.0686], [0.6570, 0.2946, 0.5715], [0.9588, 0.6430, 0.4016], [0.9801, 0.6320, 0.1085], [0.9916, 0.6300, 0.9013], [0.0201, 0.9668, 0.8418], [0.0213, 0.2596, 0.3390], [0.2794, 0.6285, 0.0053], [0.3161, 0.2576, 0.8414], [0.3557, 0.3019, 0.1730], [0.3572, 0.5902, 0.6746], [0.5990, 0.9730, 0.3390], [0.6470, 0.0044, 0.6746], [0.6468, 0.5912, 0.1727], [0.6803, 0.6321, 0.5090], [0.6908, 0.9237, 0.0034], [0.9380, 0.3049, 0.6759], [0.9425, 0.0033, 0.1729], [0.9777, 0.3423, 0.0036], [0.9843, 0.9256, 0.5082], [0.2741, 0.3446, 0.5064], [0.3084, 0.6721, 0.3401], [0.6056, 0.6795, 0.8392], [0.0068, 0.7876, 0.8413], [0.0111, 0.4538, 0.3483], [0.0123, 0.8129, 0.5664], [0.1053, 0.1514, 0.3993], [0.1134, 0.9819, 0.8998], [0.1233, 0.1198, 0.6765], [0.1284, 0.9831, 0.1736], [0.1313, 0.4451, 0.8415], [0.1383, 0.1861, 0.2794], [0.1415, 0.9587, 0.5003], [0.1429, 0.1597, 0.0032], [0.1481, 0.9346, 0.7810], [0.1542, 0.6503, 0.3464], [0.1538, 0.6510, 0.0613], [0.1639, 0.4705, 0.1625], [0.1706, 0.6166, 0.6658], [0.1759, 0.4245, 0.5606], [0.1810, 0.5995, 0.9455], [0.1914, 0.4492, 0.4517], [0.2783, 0.7749, 0.2855], [0.2871, 0.1570, 0.7811], [0.2980, 0.1730, 0.5016], [0.3013, 0.7905, 0.0003], [0.3269, 0.7534, 0.3948], [0.3405, 0.1342, 0.1706], [0.3440, 0.1438, 0.8991], [0.3499, 0.7781, 0.6775], [0.4285, 0.3484, 0.2311], [0.4440, 0.4820, 0.7333], [0.4462, 0.3316, 0.5083], [0.4596, 0.5024, 0.3360], [0.4612, 0.4511, 0.0075], [0.4678, 0.9945, 0.6780], [0.4710, 0.2945, 0.8346], [0.4770, 0.2842, 0.1126], [0.4792, 0.7743, 0.1718], [0.4840, 0.4931, 0.6139], [0.4935, 0.7920, 0.4999], [0.5017, 0.9842, 0.4009], [0.5073, 0.7589, 0.8933], [0.5090, 0.9383, 0.0007], [0.5219, 0.7840, 0.7839], [0.5343, 0.9187, 0.2798], [0.6130, 0.1337, 0.6143], [0.6278, 0.1345, 0.3353], [0.6301, 0.5080, 0.8343], [0.6322, 0.4878, 0.1116], [0.6717, 0.4520, 0.5096], [0.6736, 0.0888, 0.7328], [0.6818, 0.1085, 0.0076], [0.6886, 0.4723, 0.2303], [0.7744, 0.6514, 0.5659], [0.7771, 0.6677, 0.8401], [0.7936, 0.8033, 0.0607], [0.8001, 0.1127, 0.5103], [0.8019, 0.3328, 0.0069], [0.8033, 0.7966, 0.3458], [0.8049, 0.8167, 0.6673], [0.8086, 0.6044, 0.4488], [0.8173, 0.8258, 0.9442], [0.8182, 0.6116, 0.1631], [0.8238, 0.0752, 0.2307], [0.8265, 0.2983, 0.3356], [0.8274, 0.3333, 0.7343], [0.8338, 0.1306, 0.8354], [0.8407, 0.1255, 0.1123], [0.8456, 0.2660, 0.6159], [0.9490, 0.4678, 0.9441], [0.9590, 0.8230, 0.4493], [0.9614, 0.8135, 0.1625], [0.9808, 0.4520, 0.6640], [0.9952, 0.4473, 0.0602]],
  "corrected_energy_ev_per_atom": -7.272,
  "spacegroup": "No. 1",
  "formation_enthalpy_0k_ev_per_atom": -2.8072
}

=====

{
  "formula": "Na6Mg8Ta4Si3S15O72",
  "functional": "GGA-PBE",
  "state": "optimized geometry",
  "cell": [[8.7201, 0.0000, 0.0000], [4.3564, 7.5683, 0.0000], [0.0665, 0.0739, 22.8180]],
  "species": ["Na", "Na", "Na", "Na", "Na", "Na", "Mg", "Mg", "Mg", "Mg", "Mg", "Mg", "Mg", "Mg", "Ta", "Ta", "Ta", "Ta", "Si", "Si", "Si", "S", "S", "S", "S", "S", "S", "S", "S", "S", "S", "S", "S", "S", "S", "S", "O", "O", "O", "O", "O", "O", "O", "O", "O", "O", "O", "O", "O", "O", "O", "O", "O", "O", "O", "O", "O", "O", "O", "O", "O", "O", "O", "O", "O", "O", "O", "O", "O", "O", "O", "O", "O", "O", "O", "O", "O", "O", "O", "O", "O", "O", "O", "O", "O", "O", "O", "O", "O", "O", "O", "O", "O", "O", "O", "O", "O", "O", "O", "O", "O", "O", "O", "O", "O", "O", "O", "O"],
  "frac_coords": [[0.0000, 0.0000, 0.0000], [0.0034, 0.9974, 0.5039], [0.3308, 0.3367, 0.3403], [0.3393, 0.3325, 0.8274], [0.6523, 0.6830, 0.6634], [0.6857, 0.6652, 0.1707], [0.0003, 0.0035, 0.8528], [0.0025, 0.0034, 0.3609], [0.3274, 0.3408, 0.1923], [0.3441, 0.3326, 0.6904], [0.6637, 0.6781, 0.5263], [0.6667, 0.6727, 0.8147], [0.6696, 0.6701, 0.3250], [0.6748, 0.6716, 0.0239], [0.0015, 0.9972, 0.6492], [0.0039, 0.9959, 0.1535], [0.3268, 0.3483, 0.9852], [0.3418, 0.3404, 0.4907], [0.0356, 0.6242, 0.0932], [0.3489, 0.6206, 0.5940], [0.6216, 0.0387, 0.5940], [0.0021, 0.2936, 0.2572], [0.0031, 0.7100, 0.7574], [0.0461, 0.3388, 0.5907], [0.2913, 0.0064, 0.7574], [0.2966, 0.7101, 0.2580], [0.3371, 0.0470, 0.0904], [0.3746, 0.9640, 0.4213], [0.3792, 0.6755, 0.9231], [0.6232, 0.3387, 0.0904], [0.6701, 0.3782, 0.4218], [0.6712, 0.9604, 0.9229], [0.7078, 0.0047, 0.2573], [0.7108, 0.2952, 0.7578], [0.9556, 0.3761, 0.9228], [0.9608, 0.6686, 0.4215], [0.0214, 0.1846, 0.3081], [0.0274, 0.7938, 0.8096], [0.0284, 0.8239, 0.0985], [0.0365, 0.1703, 0.5962], [0.1236, 0.3641, 0.6431], [0.1365, 0.5102, 0.1478], [0.1428, 0.5028, 0.4270], [0.1465, 0.3542, 0.9321], [0.1578, 0.5343, 0.7510], [0.1620, 0.8224, 0.5988], [0.1633, 0.3017, 0.5364], [0.1635, 0.3052, 0.2503], [0.1655, 0.0414, 0.0962], [0.1691, 0.5309, 0.0328], [0.1833, 0.7983, 0.3078], [0.1872, 0.0250, 0.8107], [0.1953, 0.9864, 0.4151], [0.1969, 0.8226, 0.9178], [0.1992, 0.8271, 0.2021], [0.2000, 0.9853, 0.7044], [0.2988, 0.5379, 0.5326], [0.3051, 0.1666, 0.7520], [0.3071, 0.1612, 0.0367], [0.3146, 0.5360, 0.2497], [0.3523, 0.1481, 0.4277], [0.3537, 0.5176, 0.6506], [0.3641, 0.5024, 0.9311], [0.3663, 0.1240, 0.1423], [0.4577, 0.8576, 0.4732], [0.4598, 0.6926, 0.9768], [0.4663, 0.8446, 0.7607], [0.4675, 0.7038, 0.2586], [0.4810, 0.8689, 0.0803], [0.4807, 0.8893, 0.3675], [0.4867, 0.6408, 0.8709], [0.5022, 0.3610, 0.4276], [0.5058, 0.1253, 0.6497], [0.5058, 0.1456, 0.9328], [0.5116, 0.6450, 0.5803], [0.5216, 0.3556, 0.1427], [0.5303, 0.1721, 0.5331], [0.5351, 0.3124, 0.7535], [0.5359, 0.1627, 0.2470], [0.5441, 0.3019, 0.0366], [0.6355, 0.8882, 0.8705], [0.6388, 0.4835, 0.3680], [0.6415, 0.4932, 0.0804], [0.6745, 0.8422, 0.5804], [0.6924, 0.4598, 0.4738], [0.6921, 0.8573, 0.9759], [0.6982, 0.8422, 0.2585], [0.6998, 0.4695, 0.7613], [0.7948, 0.0286, 0.3076], [0.7956, 0.1890, 0.8107], [0.8061, 0.1753, 0.0956], [0.8145, 0.0429, 0.5993], [0.8217, 0.1972, 0.4155], [0.8234, 0.2044, 0.7048], [0.8242, 0.9882, 0.9170], [0.8259, 0.9830, 0.2015], [0.8383, 0.7027, 0.7604], [0.8408, 0.4679, 0.2587], [0.8412, 0.6604, 0.0826], [0.8549, 0.4563, 0.9760], [0.8566, 0.6890, 0.4737], [0.8724, 0.4854, 0.5788], [0.8835, 0.6419, 0.3677], [0.8871, 0.4852, 0.8706], [0.9813, 0.8255, 0.7038], [0.9824, 0.2001, 0.2020], [0.9864, 0.8236, 0.4155], [0.9876, 0.1952, 0.9170]],
  "corrected_energy_ev_per_atom": -7.088,
  "spacegroup": "No. 1",
  "formation_enthalpy_0k_ev_per_atom": -2.4326
}

=====

{
  "formula": "NaMgTa3Si3S3O24",
  "functional": "GGA-PBE",
  "state": "optimized geometry",
  "cell": [[8.8247, 0.0000, 0.0000], [-4.4075, 7.6517, 0.0000], [-0.0650, -0.0594, 22.8618]],
  "species": ["Na", "Na", "Na", "Mg", "Mg", "Mg", "Ta", "Ta", "Ta", "Ta", "Ta", "Ta", "Ta", "Ta", "Ta", "Si", "Si", "Si", "Si", "Si", "Si", "Si", "Si", "Si", "S", "S", "S", "S", "S", "S", "S", "S", "S", "O", "O", "O", "O", "O", "O", "O", "O", "O", "O", "O", "O", "O", "O", "O", "O", "O", "O", "O", "O", "O", "O", "O", "O", "O", "O", "O", "O", "O", "O", "O", "O", "O", "O", "O", "O", "O", "O", "O", "O", "O", "O", "O", "O", "O", "O", "O", "O", "O", "O", "O", "O", "O", "O", "O", "O", "O", "O", "O", "O", "O", "O", "O", "O", "O", "O", "O", "O", "O", "O", "O", "O"],
  "frac_coords": [[0.0000, 0.0000, 0.0000], [0.0250, 0.0311, 0.4971], [0.3511, 0.6900, 0.1498], [0.0093, 0.0019, 0.1357], [0.0264, 0.0361, 0.6367], [0.3596, 0.7007, 0.0134], [0.0015, 0.0235, 0.8479], [0.0094, 0.0072, 0.3487], [0.3360, 0.6894, 0.8062], [0.3386, 0.6859, 0.3067], [0.3477, 0.6771, 0.5137], [0.6686, 0.3514, 0.4650], [0.6806, 0.3567, 0.6816], [0.6818, 0.3678, 0.1790], [0.6916, 0.3645, 0.9679], [0.0194, 0.3086, 0.7383], [0.0188, 0.7352, 0.2385], [0.0588, 0.3965, 0.4093], [0.0668, 0.6956, 0.9129], [0.3439, 0.9667, 0.4107], [0.3851, 0.3446, 0.5753], [0.6247, 0.9699, 0.9120], [0.6303, 0.6890, 0.4078], [0.6741, 0.6536, 0.0727], [0.2984, 0.3055, 0.2401], [0.3012, 0.0195, 0.7406], [0.3464, 0.3986, 0.9088], [0.3940, 0.0691, 0.0755], [0.6800, 0.0669, 0.5750], [0.7254, 0.0186, 0.2405], [0.7259, 0.7344, 0.7404], [0.9658, 0.6403, 0.5756], [0.9674, 0.3526, 0.0759], [0.0385, 0.8597, 0.8935], [0.0402, 0.2077, 0.3965], [0.0473, 0.2221, 0.6830], [0.0584, 0.8558, 0.1843], [0.1329, 0.5133, 0.0715], [0.1398, 0.6545, 0.5696], [0.1503, 0.5204, 0.3522], [0.1519, 0.6607, 0.8522], [0.1779, 0.9973, 0.3993], [0.1794, 0.7233, 0.9689], [0.1849, 0.7003, 0.2504], [0.1858, 0.4889, 0.4665], [0.1864, 0.5018, 0.7554], [0.1934, 0.2168, 0.8973], [0.1928, 0.2330, 0.1882], [0.1950, 0.9837, 0.6884], [0.1993, 0.1731, 0.5756], [0.2185, 0.2010, 0.2939], [0.2269, 0.0512, 0.7935], [0.2275, 0.0670, 0.0802], [0.3062, 0.4648, 0.9608], [0.3102, 0.8477, 0.4680], [0.3295, 0.8671, 0.7504], [0.3306, 0.4876, 0.2492], [0.3748, 0.5064, 0.8554], [0.3753, 0.8807, 0.3520], [0.3772, 0.8966, 0.0734], [0.3797, 0.5283, 0.5665], [0.4757, 0.3200, 0.2340], [0.4821, 0.1763, 0.7323], [0.4862, 0.1754, 0.0230], [0.4899, 0.6445, 0.0744], [0.5005, 0.3355, 0.5198], [0.5010, 0.3755, 0.9150], [0.5059, 0.1573, 0.1295], [0.5139, 0.6559, 0.3499], [0.5148, 0.8970, 0.5690], [0.5160, 0.1584, 0.4189], [0.5158, 0.3759, 0.6325], [0.5166, 0.8785, 0.8506], [0.5433, 0.7227, 0.4660], [0.5483, 0.8597, 0.2497], [0.5499, 0.7057, 0.7518], [0.5619, 0.8487, 0.9668], [0.6517, 0.1662, 0.9202], [0.6573, 0.1551, 0.6282], [0.6594, 0.5239, 0.4193], [0.6621, 0.5213, 0.1312], [0.6934, 0.5338, 0.0188], [0.7005, 0.1724, 0.2342], [0.7081, 0.1780, 0.5230], [0.7098, 0.5552, 0.7338], [0.8042, 0.8365, 0.6883], [0.8046, 0.9912, 0.1894], [0.8237, 0.8621, 0.4004], [0.8277, 0.0041, 0.8969], [0.8286, 0.0397, 0.5814], [0.8336, 0.0471, 0.2948], [0.8392, 0.8122, 0.7937], [0.8456, 0.3352, 0.7292], [0.8457, 0.5345, 0.2315], [0.8534, 0.8337, 0.0760], [0.8554, 0.3254, 0.0222], [0.8584, 0.5535, 0.5234], [0.8686, 0.5214, 0.9181], [0.8720, 0.3689, 0.1289], [0.8728, 0.3789, 0.4242], [0.8828, 0.5275, 0.6290], [0.9794, 0.8101, 0.5837], [0.9815, 0.1957, 0.0824], [0.9884, 0.1866, 0.7974], [0.9878, 0.8254, 0.2986]],
  "corrected_energy_ev_per_atom": -8.043,
  "spacegroup": "No. 1",
  "formation_enthalpy_0k_ev_per_atom": -2.7302
}